{
  "formula": "K2YCuI6",
  "functional": "PBE",
  "state": "relaxed",
  "cell": [[0.0000, 5.8942, 5.8942], [5.8942, 0.0000, 5.8942], [5.8942, 5.8942, 0.0000]],
  "species": ["K", "K", "Y", "Cu", "I", "I", "I", "I", "I", "I"],
  "fractional_positions": [[0.2500, 0.2500, 0.2500], [0.7500, 0.7500, 0.7500], [0.0000, 0.0000, 0.0000], [0.5000, 0.5000, 0.5000], [0.2564, 0.2564, 0.7436], [0.2564, 0.7436, 0.2564], [0.2564, 0.7436, 0.7436], [0.7436, 0.2564, 0.2564], [0.7436, 0.2564, 0.7436], [0.7436, 0.7436, 0.2564]],
  "formation_enthalpy_0k_mev_per_atom": -1314,
  "total_energy_ev_per_cell": -32.80,
  "sg": "Fm-3m, No. 225"
}

{
  "formula": "HoMnGe",
  "functional": "PBE",
  "state": "relaxed",
  "cell": [[7.0427, 0.0000, 0.0000], [0.0000, 4.0948, 0.0000], [0.0000, 0.0000, 7.8982]],
  "species": ["Ho", "Ho", "Ho", "Ho", "Mn", "Mn", "Mn", "Mn", "Ge", "Ge", "Ge", "Ge"],
  "fractional_positions": [[0.0228, 0.2500, 0.1832], [0.4772, 0.7500, 0.6832], [0.5228, 0.2500, 0.3168], [0.9772, 0.7500, 0.8168], [0.1332, 0.2500, 0.5560], [0.3668, 0.7500, 0.0560], [0.6332, 0.2500, 0.9440], [0.8668, 0.7500, 0.4440], [0.2252, 0.7500, 0.3830], [0.2748, 0.2500, 0.8830], [0.7252, 0.7500, 0.1170], [0.7748, 0.2500, 0.6170]],
  "formation_enthalpy_0k_mev_per_atom": -496,
  "total_energy_ev_per_cell": -79.42,
  "sg": "Pnma, No. 62"
}

{
  "formula": "CaCuSiH2O5",
  "functional": "PBE",
  "state": "relaxed",
  "cell": [[5.0873, 0.0000, 0.0000], [0.0000, 16.3015, 0.0000], [-1.2063, 0.0000, 5.2599]],
  "species": ["Ca", "Ca", "Ca", "Ca", "Cu", "Cu", "Cu", "Cu", "Si", "Si", "Si", "Si", "H", "H", "H", "H", "H", "H", "H", "H", "O", "O", "O", "O", "O", "O", "O", "O", "O", "O", "O", "O", "O", "O", "O", "O", "O", "O", "O", "O"],
  "fractional_positions": [[0.1517, 0.1765, 0.3439], [0.1517, 0.3235, 0.8439], [0.8483, 0.6765, 0.1561], [0.8483, 0.8235, 0.6561], [0.0000, 0.0000, 0.0000], [0.0000, 0.5000, 0.5000], [0.5000, 0.0000, 0.5000], [0.5000, 0.5000, 0.0000], [0.4811, 0.1102, 0.9688], [0.4811, 0.3898, 0.4688], [0.5189, 0.6102, 0.5312], [0.5189, 0.8898, 0.0312], [0.1640, 0.6723, 0.7479], [0.1640, 0.8277, 0.2479], [0.3302, 0.7442, 0.9260], [0.3302, 0.7558, 0.4260], [0.6698, 0.2442, 0.5740], [0.6698, 0.2558, 0.0740], [0.8360, 0.1723, 0.7521], [0.8360, 0.3277, 0.2521], [0.1498, 0.7123, 0.8821], [0.1498, 0.7877, 0.3821], [0.1866, 0.6028, 0.4647], [0.1866, 0.8972, 0.9647], [0.3422, 0.0541, 0.1681], [0.3422, 0.4459, 0.6681], [0.3473, 0.0857, 0.6715], [0.3473, 0.4143, 0.1715], [0.4005, 0.2048, 0.0242], [0.4005, 0.2952, 0.5242], [0.5995, 0.7048, 0.4758], [0.5995, 0.7952, 0.9758], [0.6527, 0.5857, 0.8285], [0.6527, 0.9143, 0.3285], [0.6578, 0.5541, 0.3319], [0.6578, 0.9459, 0.8319], [0.8134, 0.1028, 0.0353], [0.8134, 0.3972, 0.5353], [0.8502, 0.2123, 0.6179], [0.8502, 0.2877, 0.1179]],
  "formation_enthalpy_0k_mev_per_atom": -2270,
  "total_energy_ev_per_cell": -249.27,
  "sg": "P2_1/c, No. 14"
}

{
  "formula": "Ba4MgRh4O12",
  "functional": "PBE",
  "state": "relaxed",
  "cell": [[5.7724, 0.0000, 0.0000], [-2.8862, 4.9990, 0.0000], [0.0000, 0.0000, 10.8418]],
  "species": ["Ba", "Ba", "Ba", "Ba", "Mg", "Rh", "Rh", "Rh", "Rh", "O", "O", "O", "O", "O", "O", "O", "O", "O", "O", "O", "O"],
  "fractional_positions": [[0.0000, 0.0000, 0.0000], [0.0000, 0.0000, 0.4195], [0.3333, 0.6667, 0.7936], [0.6667, 0.3333, 0.1953], [0.3333, 0.6667, 0.5436], [0.3333, 0.6667, 0.0700], [0.3333, 0.6667, 0.3207], [0.6667, 0.3333, 0.5761], [0.6667, 0.3333, 0.8378], [0.0033, 0.5016, 0.4543], [0.1815, 0.3631, 0.1984], [0.1815, 0.8185, 0.1984], [0.3766, 0.1883, 0.7078], [0.4984, 0.5016, 0.4543], [0.4984, 0.9967, 0.4543], [0.5073, 0.0146, 0.9689], [0.5073, 0.4927, 0.9689], [0.6369, 0.8185, 0.1984], [0.8117, 0.1883, 0.7078], [0.8117, 0.6234, 0.7078], [0.9854, 0.4927, 0.9689]],
  "formation_enthalpy_0k_mev_per_atom": -1887,
  "total_energy_ev_per_cell": -129.48,
  "relative_energy_mev_per_atom": 132,
  "sg": "P3m1, No. 156"
}

{
  "formula": "Na3InF6",
  "functional": "PBE",
  "state": "relaxed",
  "cell": [[5.7355, 0.0000, 0.0000], [0.0000, 5.9358, 0.0000], [-5.6397, 0.0000, 8.3387]],
  "species": ["Na", "Na", "Na", "Na", "Na", "Na", "In", "In", "F", "F", "F", "F", "F", "F", "F", "F", "F", "F", "F", "F"],
  "fractional_positions": [[0.0000, 0.0000, 0.0000], [0.0000, 0.5000, 0.5000], [0.2316, 0.0538, 0.7436], [0.2316, 0.4462, 0.2436], [0.7684, 0.5538, 0.7564], [0.7684, 0.9462, 0.2564], [0.5000, 0.0000, 0.5000], [0.5000, 0.5000, 0.0000], [0.1366, 0.1778, 0.4396], [0.1366, 0.3222, 0.9396], [0.2533, 0.7041, 0.4237], [0.2533, 0.7959, 0.9237], [0.3939, 0.0691, 0.2654], [0.3939, 0.4309, 0.7654], [0.6061, 0.5691, 0.2346], [0.6061, 0.9309, 0.7346], [0.7467, 0.2041, 0.0763], [0.7467, 0.2959, 0.5763], [0.8634, 0.6778, 0.0604], [0.8634, 0.8222, 0.5604]],
  "formation_enthalpy_0k_mev_per_atom": -2953,
  "total_energy_ev_per_cell": -89.93,
  "sg": "P2_1/c, No. 14"
}

{
  "formula": "H2S",
  "functional": "PBE",
  "state": "relaxed",
  "cell": [[0.0000, 2.2953, 2.2953], [2.2953, 0.0000, 2.2953], [2.2953, 2.2953, 0.0000]],
  "species": ["H", "H", "S"],
  "fractional_positions": [[0.2500, 0.2500, 0.2500], [0.7500, 0.7500, 0.7500], [0.0000, 0.0000, 0.0000]],
  "formation_enthalpy_0k_mev_per_atom": 658,
  "total_energy_ev_per_cell": -8.44,
  "relative_energy_mev_per_atom": 975,
  "sg": "Fm-3m, No. 225"
}

{
  "formula": "Ba2ErMgCu4O8",
  "functional": "PBE",
  "state": "relaxed",
  "cell": [[3.9791, 0.0000, 0.0000], [0.0000, 3.7400, 0.0000], [-1.7665, 0.0000, 14.9401]],
  "species": ["Ba", "Ba", "Er", "Mg", "Cu", "Cu", "Cu", "Cu", "O", "O", "O", "O", "O", "O", "O", "O"],
  "fractional_positions": [[0.1123, 0.0000, 0.2465], [0.8877, 0.0000, 0.7535], [0.0000, 0.0000, 0.0000], [0.0000, 0.0000, 0.5000], [0.3389, 0.5000, 0.5914], [0.4506, 0.5000, 0.8940], [0.5494, 0.5000, 0.1060], [0.6611, 0.5000, 0.4086], [0.0451, 0.5000, 0.0971], [0.2044, 0.5000, 0.4473], [0.3712, 0.5000, 0.7163], [0.4564, 0.0000, 0.9060], [0.5436, 0.0000, 0.0940], [0.6288, 0.5000, 0.2837], [0.7956, 0.5000, 0.5527], [0.9549, 0.5000, 0.9029]],
  "formation_enthalpy_0k_mev_per_atom": -1995,
  "total_energy_ev_per_cell": -92.41,
  "sg": "P2/m, No. 10"
}

{
  "formula": "HfZrP2SO12",
  "functional": "PBE",
  "state": "relaxed",
  "cell": [[8.9354, 0.0000, 0.0000], [4.4628, 7.7534, 0.0000], [0.0076, 0.0684, 23.0429]],
  "species": ["Hf", "Hf", "Hf", "Hf", "Hf", "Hf", "Zr", "Zr", "Zr", "Zr", "Zr", "Zr", "P", "P", "P", "P", "P", "P", "P", "P", "P", "P", "P", "P", "S", "S", "S", "S", "S", "S", "O", "O", "O", "O", "O", "O", "O", "O", "O", "O", "O", "O", "O", "O", "O", "O", "O", "O", "O", "O", "O", "O", "O", "O", "O", "O", "O", "O", "O", "O", "O", "O", "O", "O", "O", "O", "O", "O", "O", "O", "O", "O", "O", "O", "O", "O", "O", "O", "O", "O", "O", "O", "O", "O", "O", "O", "O", "O", "O", "O", "O", "O", "O", "O", "O", "O", "O", "O", "O", "O", "O", "O"],
  "fractional_positions": [[0.0000, 0.0000, 0.0000], [0.0033, 0.0003, 0.5001], [0.3333, 0.3331, 0.6661], [0.6666, 0.6670, 0.3339], [0.6778, 0.6691, 0.5459], [0.9900, 0.0026, 0.7114], [0.0111, 0.0024, 0.2126], [0.3225, 0.3359, 0.3797], [0.3369, 0.3335, 0.1663], [0.3447, 0.3360, 0.8787], [0.6565, 0.6691, 0.0456], [0.6704, 0.6667, 0.8327], [0.0027, 0.2829, 0.6060], [0.0457, 0.3356, 0.2727], [0.0519, 0.6172, 0.7719], [0.2876, 0.0005, 0.1053], [0.3381, 0.6165, 0.2732], [0.3793, 0.6685, 0.9392], [0.3847, 0.9474, 0.4399], [0.6227, 0.3318, 0.7714], [0.6710, 0.9503, 0.9396], [0.7151, 0.0002, 0.6056], [0.7184, 0.2820, 0.1057], [0.9529, 0.6690, 0.4395], [0.0016, 0.7106, 0.1057], [0.2916, 0.7102, 0.6059], [0.3333, 0.0440, 0.7719], [0.6257, 0.0413, 0.2731], [0.6699, 0.3769, 0.4398], [0.9593, 0.3746, 0.9396], [0.0254, 0.1752, 0.2646], [0.0307, 0.7911, 0.0537], [0.0316, 0.1682, 0.5523], [0.0327, 0.7962, 0.7611], [0.1325, 0.3516, 0.9306], [0.1325, 0.3605, 0.2189], [0.1336, 0.5085, 0.4314], [0.1384, 0.5020, 0.7184], [0.1569, 0.5381, 0.1128], [0.1613, 0.3047, 0.6165], [0.1621, 0.3012, 0.3265], [0.1631, 0.5310, 0.8261], [0.1752, 0.0243, 0.0518], [0.1777, 0.7949, 0.2630], [0.1821, 0.7891, 0.5540], [0.1826, 0.0210, 0.7622], [0.2002, 0.8253, 0.9502], [0.2040, 0.9696, 0.4502], [0.2065, 0.9671, 0.1595], [0.2128, 0.8169, 0.6578], [0.3052, 0.1489, 0.8241], [0.3094, 0.1579, 0.1154], [0.3100, 0.5371, 0.6143], [0.3122, 0.5288, 0.3269], [0.3588, 0.5082, 0.9311], [0.3632, 0.1245, 0.7201], [0.3663, 0.1262, 0.4298], [0.3670, 0.5034, 0.2191], [0.4650, 0.6874, 0.5965], [0.4662, 0.6937, 0.8855], [0.4683, 0.8406, 0.0975], [0.4698, 0.8344, 0.3859], [0.4882, 0.8713, 0.7793], [0.4952, 0.6342, 0.9930], [0.4965, 0.6386, 0.2835], [0.4983, 0.8585, 0.4936], [0.5086, 0.3568, 0.7183], [0.5106, 0.1286, 0.9294], [0.5174, 0.1184, 0.2209], [0.5196, 0.3543, 0.4310], [0.5357, 0.1570, 0.6169], [0.5380, 0.3034, 0.1151], [0.5419, 0.2985, 0.8258], [0.5471, 0.1480, 0.3249], [0.6428, 0.4840, 0.4916], [0.6439, 0.8679, 0.2814], [0.6446, 0.4892, 0.7820], [0.6452, 0.8629, 0.9933], [0.6944, 0.8400, 0.5967], [0.6998, 0.4556, 0.3876], [0.6999, 0.4607, 0.0959], [0.7001, 0.8366, 0.8856], [0.7989, 0.0182, 0.2641], [0.8032, 0.0253, 0.5521], [0.8044, 0.1683, 0.0520], [0.8035, 0.1720, 0.7626], [0.8250, 0.2039, 0.4479], [0.8298, 0.1954, 0.1598], [0.8295, 0.9720, 0.9499], [0.8312, 0.9672, 0.6595], [0.8414, 0.6927, 0.3857], [0.8427, 0.4617, 0.5952], [0.8507, 0.4520, 0.8875], [0.8513, 0.6879, 0.0969], [0.8666, 0.4923, 0.2838], [0.8696, 0.6358, 0.4932], [0.8714, 0.6385, 0.7817], [0.8808, 0.4810, 0.9914], [0.9743, 0.8158, 0.1578], [0.9757, 0.8257, 0.4504], [0.9773, 0.2013, 0.9479], [0.9777, 0.1944, 0.6598]],
  "formation_enthalpy_0k_mev_per_atom": -3016,
  "total_energy_ev_per_cell": -815.19,
  "sg": "P1, No. 1"
}